*a*
This record from the Materials Project describes an optimized crystal structure of Mn3N2. The functional is GGA-PBE.

```
Mn3N2
1.0
-1.4313 1.4313 6.0254
1.4313 -1.4313 6.0254
1.4313 1.4313 -6.0254
Mn N
3 2
Direct
0.0000 0.0000 0.0000 Mn
0.3311 0.3311 0.0000 Mn
0.6689 0.6689 0.0000 Mn
0.1599 0.1599 0.0000 N
0.8401 0.8401 0.0000 N
```

=====

*b*
This record from the Materials Project describes an optimized crystal structure of Mn3N2. The functional is GGA-PBE.

```
Mn3N2
1.0
2.6363 -1.5298 0.0000
2.6363 1.5298 0.0000
-0.0310 0.0000 5.8819
Mn N
3 2
Direct
0.0000 0.0000 0.0000 Mn
0.3348 0.3348 0.6654 Mn
0.6652 0.6652 0.3346 Mn
0.3303 0.3303 0.2423 N
0.6697 0.6697 0.7577 N
```

=====

Out of the structures above, which one is the least stable? Solution: *b*.